Entry 1:
Material: PbS2
Method: DFT, PBE
State: optimized geometry

Summary:
Formation enthalpy at 0 K (eV per atom): -0.29
V (Å³ per cell): 79.33
Calculated density (Mg/m³): 5.7
Space group: P-3m1, No. 164
Crystal system: trigonal

```
3
Lattice="3.875 0.000 0.000 -1.938 3.356 0.000 0.000 0.000 6.100" Properties=species:S:1:pos:R:3 pbc="T T T"
Pb 0.000 0.000 0.000
S 0.000 2.237 1.541
S 1.938 1.119 4.559
```


Entry 2:
Material: NdAgAu2
Method: DFT, PBE
State: optimized geometry

Summary:
Formation enthalpy at 0 K (eV per atom): -0.57
V (Å³ per cell): 354.82
Calculated density (Mg/m³): 12.1
Space group: Fm-3m, No. 225
Crystal system: cubic

```
16
Lattice="7.080 0.000 0.000 0.000 7.080 0.000 0.000 0.000 7.080" Properties=species:S:1:pos:R:3 pbc="T T T"
Nd 0.000 0.000 0.000
Nd 0.000 3.540 3.540
Nd 3.540 0.000 3.540
Nd 3.540 3.540 0.000
Ag 0.000 0.000 3.540
Ag 0.000 3.540 0.000
Ag 3.540 0.000 0.000
Ag 3.540 3.540 3.540
Au 1.770 1.770 1.770
Au 1.770 1.770 5.310
Au 1.770 5.310 1.770
Au 1.770 5.310 5.310
Au 5.310 1.770 1.770
Au 5.310 1.770 5.310
Au 5.310 5.310 1.770
Au 5.310 5.310 5.310
```


Entry 3:
Material: K2PH4S3O2
Method: DFT, PBE
State: optimized geometry

Summary:
Formation enthalpy at 0 K (eV per atom): -1.22
V (Å³ per cell): 839.36
Calculated density (Mg/m³): 1.9
Space group: P2_1/c, No. 14
Crystal system: monoclinic

```
48
Lattice="8.094 0.000 0.000 0.000 11.436 0.000 -7.435 0.000 9.068" Properties=species:S:1:pos:R:3 pbc="T T T"
K -2.927 2.583 3.691
K -6.645 3.135 8.225
K -0.069 7.521 4.824
K 3.649 9.634 0.290
K -2.991 1.803 8.778
K 0.727 3.915 4.244
K 7.303 8.301 0.843
K 3.586 8.853 5.377
P -3.716 6.098 8.029
P 0.001 11.057 3.495
P 0.657 0.380 5.573
P 4.375 5.338 1.039
H -5.935 0.013 8.288
H -2.217 5.705 3.754
H -4.069 0.147 6.446
H -0.352 5.571 1.912
H 1.346 0.573 0.686
H -2.372 5.145 5.220
H 1.132 6.068 1.994
H -2.586 11.087 6.528
H 3.244 0.350 2.540
H -0.473 5.368 7.074
H 3.030 6.291 3.848
H -0.687 10.863 8.382
H 1.010 5.865 7.156
H 4.728 11.289 2.622
H 2.876 5.731 5.314
H 6.593 11.423 0.780
S -5.489 7.077 8.279
S -1.771 10.078 3.745
S -0.221 1.272 2.307
S -3.939 4.446 6.841
S -2.248 7.352 7.404
S 1.470 9.802 2.870
S -0.811 1.634 6.198
S 2.906 4.084 1.664
S 4.597 6.990 2.227
S 0.880 10.164 6.761
S 2.429 1.359 5.323
S 6.147 4.359 0.789
O -5.498 0.591 8.964
O -1.780 5.127 4.430
O 0.246 6.204 2.390
O -3.472 10.951 6.924
O 4.130 0.486 2.144
O 0.412 5.232 6.678
O 2.438 6.309 4.638
O 6.156 10.845 0.104
```


Entry 4:
Material: TeRhCl
Method: DFT, PBE
State: optimized geometry

Summary:
Formation enthalpy at 0 K (eV per atom): -0.73
V (Å³ per cell): 303.00
Calculated density (Mg/m³): 5.8
Space group: C2/m, No. 12
Crystal system: monoclinic

```
12
Lattice="13.611 0.000 0.000 0.000 3.720 0.000 -3.136 0.000 5.985" Properties=species:S:1:pos:R:3 pbc="T T T"
Te 0.426 0.000 2.829
Te 3.243 1.860 3.156
Te 7.231 1.860 2.829
Te 10.049 0.000 3.156
Rh 1.030 1.860 4.508
Rh 2.639 0.000 1.477
Rh 7.836 0.000 4.508
Rh 9.444 1.860 1.477
Cl -1.164 1.860 5.795
Cl 4.833 0.000 0.190
Cl 5.641 0.000 5.795
Cl 11.638 1.860 0.190
```


Entry 5:
Material: Tb2Si4CN6
Method: DFT, PBE
State: optimized geometry

Summary:
Formation enthalpy at 0 K (eV per atom): -1.37
V (Å³ per cell): 620.01
Calculated density (Mg/m³): 5.6
Space group: P2_1/c, No. 14
Crystal system: monoclinic

```
52
Lattice="5.973 0.000 0.000 0.000 9.978 0.000 -5.907 0.000 10.403" Properties=species:S:1:pos:R:3 pbc="T T T"
Tb -1.520 0.853 4.362
Tb -4.473 4.136 9.563
Tb -4.338 0.643 9.410
Tb -1.385 4.346 4.209
Tb 1.452 5.631 6.194
Tb 4.405 9.335 0.993
Tb 4.540 5.842 0.840
Tb 1.586 9.125 6.041
Si -2.837 2.274 6.856
Si 0.116 2.715 1.655
Si -3.082 7.043 8.569
Si -0.129 7.924 3.367
Si -1.425 7.117 6.029
Si 1.528 7.850 0.828
Si 1.474 5.185 2.608
Si -1.480 9.782 7.810
Si 1.546 0.196 2.593
Si -1.407 4.793 7.795
Si -1.462 2.128 9.575
Si 1.492 2.861 4.374
Si 0.195 2.054 7.036
Si 3.149 2.935 1.834
Si -0.050 7.263 8.748
Si 2.904 7.703 3.547
C 1.385 7.064 2.578
C -1.569 7.902 7.779
C 1.635 2.076 2.624
C -1.318 2.913 7.825
N 0.025 2.089 0.015
N -2.928 2.899 5.217
N -1.344 2.353 2.550
N -4.298 2.636 7.751
N -2.568 0.538 6.637
N 0.385 4.451 1.436
N -3.036 5.351 8.084
N -0.082 9.616 2.883
N -0.916 5.446 6.251
N 2.038 9.520 1.049
N -3.127 7.094 10.302
N -0.173 7.873 5.101
N 0.240 2.105 5.302
N 3.193 2.884 0.101
N -1.971 0.457 9.354
N 0.982 4.532 4.152
N 0.149 0.362 7.520
N 3.102 4.627 2.319
N -0.319 5.527 8.967
N 2.634 9.440 3.766
N 4.364 7.341 2.652
N 1.411 7.625 7.853
N 2.995 7.078 5.186
N 0.041 7.888 10.388
```


Entry 6:
Material: BaMgAgO2
Method: DFT, PBE
State: optimized geometry

Summary:
Formation enthalpy at 0 K (eV per atom): -1.47
V (Å³ per cell): 101.33
Energy relative to the lowest polymorph listed for this composition (meV/atom): 0
Calculated density (Mg/m³): 4.9
Space group: Pmm2, No. 25
Crystal system: orthorhombic

```
5
Lattice="3.445 0.000 0.000 0.000 4.538 0.000 0.000 0.000 6.483" Properties=species:S:1:pos:R:3 pbc="T T T"
Ba 0.000 0.000 0.000
Mg 0.000 2.269 2.487
Ag 1.722 2.269 4.615
O 1.722 0.000 4.724
O 1.722 2.269 1.465
```


Entry 7:
Material: GdCu5Te4
Method: DFT, PBE
State: optimized geometry

Summary:
Formation enthalpy at 0 K (eV per atom): -0.43
V (Å³ per cell): 225.41
Calculated density (Mg/m³): 7.3
Space group: C2/m, No. 12
Crystal system: monoclinic

```
10
Lattice="7.924 -2.148 0.000 7.924 2.148 0.000 -3.215 0.000 6.621" Properties=species:S:1:pos:R:3 pbc="T T T"
Gd 0.000 0.000 0.000
Cu 0.327 0.000 5.690
Cu 2.773 0.000 4.271
Cu 6.317 0.000 3.310
Cu 9.861 0.000 2.349
Cu 12.307 0.000 0.931
Te 0.381 0.000 3.069
Te 5.782 0.000 0.363
Te 6.852 0.000 6.258
Te 12.253 0.000 3.552
```


Entry 8:
Material: LiYF2
Method: DFT, PBE
State: optimized geometry

Summary:
Formation enthalpy at 0 K (eV per atom): -2.62
V (Å³ per cell): 254.50
Energy relative to the lowest polymorph listed for this composition (meV/atom): 0
Calculated density (Mg/m³): 3.5
Space group: I4_1/amd, No. 141
Crystal system: tetragonal

```
16
Lattice="-3.365 3.365 5.620 3.365 -3.365 5.620 3.365 3.365 -5.620" Properties=species:S:1:pos:R:3 pbc="T T T"
Li 0.000 0.000 0.000
Li 1.682 1.682 -2.810
Li 1.682 -1.682 2.810
Li 0.000 3.365 0.000
Y 3.365 0.000 0.000
Y -1.682 1.682 2.810
Y 0.000 0.000 5.620
Y 1.682 1.682 2.810
F 1.982 1.682 -0.938
F 4.747 1.682 -0.938
F 0.000 0.300 1.872
F 3.365 0.300 3.748
F 0.000 3.065 1.872
F 3.365 3.065 3.748
F -1.382 1.682 6.558
F 1.382 1.682 6.558
```